1.
ErAsO4: relaxed, r²SCAN.

Results
The calculation puts the total magnetization at 0.00 μB per cell. The total energy comes out at -88.4 eV per formula unit. The space group is I4_1/amd, No. 141.

POSCAR file:
```
ErAsO4
1.0
5.854 0.035 0.000
-2.537 5.277 0.000
-1.659 -2.656 4.947
Er As O
2 2 8
direct
0.125 0.875 0.250
0.875 0.125 0.750
0.375 0.625 0.750
0.625 0.375 0.250
0.198 0.631 0.933
0.369 0.802 0.567
0.198 0.265 0.567
0.735 0.802 0.933
0.265 0.198 0.067
0.802 0.735 0.433
0.631 0.198 0.433
0.802 0.369 0.067
```



2.
ErAsPt: relaxed, r²SCAN.

Results
The calculation puts the total magnetization at 0.00 μB per cell. The total energy comes out at -104.2 eV per formula unit. The space group is P6_3/mmc, No. 194.

POSCAR file:
```
ErAsPt
1.0
2.122 -3.676 0.000
2.122 3.676 0.000
0.000 0.000 15.141
Er As Pt
4 4 4
direct
0.000 0.000 0.500
0.000 0.000 0.000
0.000 0.000 0.250
0.000 0.000 0.750
0.333 0.667 0.885
0.667 0.333 0.115
0.667 0.333 0.385
0.333 0.667 0.615
0.333 0.667 0.363
0.667 0.333 0.637
0.667 0.333 0.863
0.333 0.667 0.137
```



3.
Eu4As3: relaxed, r²SCAN.

Results
The calculation puts the total magnetization at 54.00 μB per cell. The total energy comes out at -208.5 eV per formula unit. The space group is I-43d, No. 220.

POSCAR file:
```
Eu4As3
1.0
7.494 0.000 -2.649
-3.747 6.490 -2.649
0.000 0.000 7.946
Eu As
8 6
direct
0.364 0.500 0.000
0.637 0.636 0.636
0.500 0.000 0.364
0.000 0.364 0.500
0.500 0.000 0.864
0.000 0.863 0.500
0.864 0.500 0.000
0.136 0.136 0.136
0.750 0.875 0.125
0.625 0.375 0.250
0.875 0.125 0.750
0.125 0.750 0.875
0.375 0.250 0.625
0.250 0.625 0.375
```



4.
Eu5As3: relaxed, r²SCAN.

Results
The calculation puts the total magnetization at 72.00 μB per cell. The total energy comes out at -247.3 eV per formula unit. The space group is P6_3/mcm, No. 193.

POSCAR file:
```
Eu5As3
1.0
0.000 0.000 -6.871
-4.417 -7.651 0.000
-4.417 7.650 0.000
Eu As
10 6
direct
0.500 0.333 0.667
0.500 0.667 0.333
0.000 0.667 0.333
0.000 0.333 0.667
0.750 0.256 0.000
0.750 0.744 0.744
0.750 0.000 0.256
0.250 0.744 0.000
0.250 0.256 0.256
0.250 0.000 0.744
0.750 0.610 0.000
0.750 0.389 0.389
0.750 0.000 0.611
0.250 0.389 0.000
0.250 0.611 0.611
0.250 0.000 0.389
```



5.
EuMg2As2: relaxed, r²SCAN.

Results
The calculation puts the total magnetization at 7.00 μB per cell. The total energy comes out at -82.0 eV per formula unit. The space group is P-3m1, No. 164.

POSCAR file:
```
EuMg2As2
1.0
2.196 -3.803 0.000
2.196 3.803 0.000
0.000 0.000 7.275
Eu Mg As
1 2 2
direct
0.000 0.000 0.000
0.333 0.667 0.632
0.667 0.333 0.368
0.333 0.667 0.257
0.667 0.333 0.743
```



6.
Na4Eu2SiAs4: relaxed, r²SCAN.

Results
The calculation puts the total magnetization at 27.94 μB per cell. The total energy comes out at -168.2 eV per formula unit. The space group is Cc, No. 9.

POSCAR file:
```
Na4Eu2SiAs4
1.0
8.169 4.735 0.018
-8.169 4.735 0.018
0.000 0.144 7.306
Na Eu Si As
8 4 2 8
direct
0.475 0.945 0.384
0.945 0.475 0.884
0.865 0.723 0.174
0.286 0.133 0.220
0.849 0.140 0.203
0.133 0.286 0.720
0.723 0.865 0.674
0.140 0.849 0.703
0.048 0.527 0.381
0.482 0.529 0.378
0.527 0.048 0.881
0.529 0.482 0.878
0.663 0.329 0.498
0.329 0.663 0.998
0.661 0.336 0.167
0.336 0.661 0.667
0.196 0.386 0.110
0.614 0.807 0.087
0.199 0.808 0.097
0.807 0.614 0.587
0.386 0.196 0.610
0.808 0.199 0.597
```